Entry 1:
Material: Li3Ag2
Method: DFT, r2SCAN
State: optimized geometry

The total magnetization is 0.0 Bohr magnetons per cell. The energy relative to the elements is -145 meV/atom. The total energy comes out at -10.119 eV per atom.

Lattice parameters (Å, degrees): 3.2473 3.2473 15.2839 90.00 90.00 90.00
Closest atoms and distances in Å follow each position.
Element x y z (fractional)
Li (0.5000, 0.5000, 0.5000)  8 Ag 2.74, 2 Li 3.00
Li (0.5000, 0.5000, 0.3038)  8 Ag 2.73-2.74, 2 Li 2.89-3.00
Li (0.5000, 0.5000, 0.6962)  8 Ag 2.73-2.74, 2 Li 2.89-3.00
Li (0.0000, 0.0000, 0.0000)  8 Li 2.89, 2 Ag 3.17
Li (0.5000, 0.5000, 0.1147)  4 Ag 2.70, 5 Li 2.89
Li (0.5000, 0.5000, 0.8853)  4 Ag 2.70, 5 Li 2.89
Ag (0.0000, 0.0000, 0.5979)  8 Li 2.74, 2 Ag 2.98-2.99
Ag (0.0000, 0.0000, 0.4021)  8 Li 2.74, 2 Ag 2.98-2.99
Ag (0.0000, 0.0000, 0.7928)  8 Li 2.70-2.73, 1 Ag 2.98
Ag (0.0000, 0.0000, 0.2072)  8 Li 2.70-2.73, 1 Ag 2.98

---

Entry 2:
Material: LiAg2Pd
Method: DFT, r2SCAN
State: optimized geometry

The total magnetization is 0.0 Bohr magnetons per cell. The energy relative to the elements is -194 meV/atom. The total energy comes out at -17.209 eV per atom.

Lattice parameters (Å, degrees): 4.4810 4.4810 4.4810 60.00 60.00 60.00
Closest atoms and distances in Å follow each position.
Element x y z (fractional)
Li (0.2500, 0.2500, 0.2500)  8 Ag 2.74
Ag (0.5000, 0.5000, 0.5000)  4 Pd 2.74, 4 Li 2.74
Ag (0.0000, 0.0000, 0.0000)  4 Pd 2.74, 4 Li 2.74
Pd (0.7500, 0.7500, 0.7500)  8 Ag 2.74

---

Entry 3:
Material: Li2TlAg
Method: DFT, r2SCAN
State: optimized geometry

The total magnetization is 0.0 Bohr magnetons per cell. The energy relative to the elements is -228 meV/atom. The total energy comes out at -20.055 eV per atom.

Lattice parameters (Å, degrees): 4.6106 4.6106 4.6106 60.00 60.00 60.00
Closest atoms and distances in Å follow each position.
Element x y z (fractional)
Li (0.0000, 0.0000, 0.0000)  4 Ag 2.82, 4 Tl 2.82
Li (0.5000, 0.5000, 0.5000)  4 Tl 2.82, 4 Ag 2.82
Tl (0.7500, 0.7500, 0.7500)  8 Li 2.82
Ag (0.2500, 0.2500, 0.2500)  8 Li 2.82

---

Entry 4:
Material: Li2TlAg
Method: DFT, r2SCAN
State: optimized geometry

The total magnetization is 0.0 Bohr magnetons per cell. The energy relative to the elements is -236 meV/atom. The total energy comes out at -20.064 eV per atom.

Lattice parameters (Å, degrees): 4.6723 4.6723 4.6723 60.00 60.00 60.00
Closest atoms and distances in Å follow each position.
Element x y z (fractional)
Li (0.0000, 0.0000, 0.0000)  4 Ag 2.86, 4 Li 2.86
Li (0.2500, 0.2500, 0.2500)  4 Tl 2.86, 4 Li 2.86
Ag (0.7500, 0.7500, 0.7500)  4 Tl 2.86, 4 Li 2.86
Tl (0.5000, 0.5000, 0.5000)  4 Ag 2.86, 4 Li 2.86

---

Entry 5:
Material: LiZn2Ag
Method: DFT, r2SCAN
State: optimized geometry

The total magnetization is 0.0 Bohr magnetons per cell. The energy relative to the elements is -164 meV/atom. The total energy comes out at -10.555 eV per atom.

Lattice parameters (Å, degrees): 4.3676 4.3676 4.3676 60.00 60.00 60.00
Closest atoms and distances in Å follow each position.
Element x y z (fractional)
Zn (0.2500, 0.2500, 0.2500)  4 Ag 2.67, 4 Li 2.67
Zn (0.7500, 0.7500, 0.7500)  4 Ag 2.67, 4 Li 2.67
Li (0.0000, 0.0000, 0.0000)  8 Zn 2.67
Ag (0.5000, 0.5000, 0.5000)  8 Zn 2.67

---

Entry 6:
Material: LuAg4
Method: DFT, r2SCAN
State: optimized geometry

The total magnetization is 0.0 Bohr magnetons per cell. The energy relative to the elements is -229 meV/atom. The total energy comes out at -24.930 eV per atom.

Lattice parameters (Å, degrees): 4.1687 5.1570 5.1570 80.60 66.16 66.16
Closest atoms and distances in Å follow each position.
Element x y z (fractional)
Ag (0.1972, 0.2047, 0.4010)  9 Ag 2.94-3.00, 3 Lu 2.98-2.99
Ag (0.5982, 0.5990, 0.2047)  9 Ag 2.94-3.00, 3 Lu 2.98-2.99
Ag (0.4018, 0.4010, 0.7953)  9 Ag 2.94-3.00, 3 Lu 2.98-2.99
Ag (0.8028, 0.7953, 0.5990)  9 Ag 2.94-3.00, 3 Lu 2.98-2.99
Lu (0.0000, 0.0000, 0.0000)  12 Ag 2.98-2.99